## Er11In6Si4 (r²SCAN)

Data for a relaxed structure of Er11In6Si4. Values from VASP.

Geometry as Quantum ESPRESSO input:
```
&SYSTEM
  ibrav = 0, nat = 42, ntyp = 3
/
ATOMIC_SPECIES
Er 167.26 Er.upf
In 114.82 In.upf
Si 28.09 Si.upf
ATOMIC_POSITIONS angstrom
Er 5.662 2.827 -2.987
Er 3.932 0.000 1.620
Er 7.392 0.000 1.620
Er 0.000 0.000 2.720
Er 5.662 -1.730 6.396
Er 2.827 5.662 -2.987
Er 2.835 0.000 5.029
Er 3.766 3.766 0.000
Er 1.896 -1.896 8.016
Er 5.662 2.827 2.987
Er 0.000 3.932 1.620
Er 5.662 1.730 6.396
Er 0.000 2.835 5.029
Er -1.896 1.896 8.016
Er 1.896 1.896 8.016
Er 2.827 5.662 2.987
Er 2.835 0.000 11.003
Er 0.000 7.392 1.620
Er 0.000 0.000 13.312
Er -1.730 5.662 6.396
Er 1.730 5.662 6.396
Er 0.000 2.835 11.003
In 2.333 2.333 -2.734
In 3.329 -3.329 5.282
In 1.457 1.457 0.000
In 4.205 -4.205 8.016
In 2.333 2.333 2.734
In 3.329 -3.329 10.750
In -3.329 3.329 5.282
In 3.329 3.329 5.282
In -4.205 4.205 8.016
In 4.205 4.205 8.016
In -3.329 3.329 10.750
In 3.329 3.329 10.750
Si 5.662 1.735 0.000
Si 5.662 0.000 4.008
Si 0.000 0.000 6.067
Si 1.735 5.662 0.000
Si 3.927 0.000 8.016
Si 0.000 0.000 9.965
Si 0.000 5.662 4.008
Si 0.000 3.927 8.016
CELL_PARAMETERS angstrom
-5.662 5.662 8.016
5.662 -5.662 8.016
5.662 5.662 -8.016
```

Computed properties:
VASP energy (eV/atom): -26.603
DFT formation energy (eV per atom): -0.711
Symmetry: I4/mmm (139)